No. 1
A relaxed structure of La4NbCo3O12, computed with PBE with a Hubbard U.

Lattice parameters (Å, degrees): 5.6292 5.7379 8.0315 89.95 89.93 89.51
With the nearest neighbours (Å) after each atom.
Fractional positions:
1 O 0.3057 0.7185 0.4532  2 Co 1.99-2.17
2 O 0.7954 0.7925 0.5467  2 Co 2.06-2.07
3 O 0.0938 0.4737 0.7571  1 Nb 2.03, 1 Co 2.14
4 O 0.2845 0.6966 0.0512  1 Nb 2.01, 1 Co 2.17
5 O 0.8024 0.7867 0.9462  1 Nb 2.02, 1 Co 2.13
6 O 0.9062 0.5263 0.2429  1 Nb 2.03, 1 Co 2.14
7 O 0.2046 0.2075 0.4533  2 Co 2.06-2.07
8 O 0.5946 0.0321 0.2497  2 Co 2.08-2.09
9 O 0.4054 0.9679 0.7503  2 Co 2.08-2.09
10 O 0.6943 0.2815 0.5468  2 Co 1.99-2.17
11 O 0.1976 0.2133 0.0538  1 Nb 2.02, 1 Co 2.13
12 O 0.7155 0.3034 0.9488  1 Nb 2.01, 1 Co 2.17
13 Co 0.0000 0.5000 0.5000  6 O 2.06-2.17
14 Co 0.5000 0.0000 0.5000  6 O 1.99-2.09
15 Co 0.5000 0.0000 0.0000  6 O 2.08-2.17
16 La 0.5121 0.5568 0.7394  6 O 2.41-2.69
17 La 0.0085 0.9588 0.2639  5 O 2.37-2.64
18 La 0.9915 0.0412 0.7361  5 O 2.37-2.64
19 La 0.4879 0.4432 0.2606  6 O 2.41-2.69
20 Nb 0.0000 0.5000 0.0000  6 O 2.01-2.03

Values from the calculation:
Total magnetization   0.035 μB per cell
VASP energy   -7.62 eV/atom
Theoretical density   6.5 g/cm3
SG   P-1, No. 2
Crystal system   triclinic
Formation enthalpy at 0 K   -2750 meV per atom

No. 2
A relaxed structure of MgWOF4, computed with PBE with a Hubbard U.

Lattice parameters (Å, degrees): 3.8980 5.5596 5.5568 96.91 110.53 69.48
With the nearest neighbours (Å) after each atom.
Fractional positions:
1 F 0.7753 0.2486 0.6826  1 Mg 1.90, 1 W 2.10
2 F 0.3413 0.7514 0.3174  1 Mg 1.90, 1 W 2.10
3 F 0.0295 0.3166 0.2477  1 Mg 1.90, 1 W 2.10
4 F 0.0984 0.6834 0.7523  1 Mg 1.90, 1 W 2.10
5 W 0.0602 0.0000 0.0000  2 O 1.95, 4 F 2.10
6 Mg 0.8130 0.5000 0.5000  4 F 1.90
7 O 0.5599 0.0000 0.0000  2 W 1.95

Values from the calculation:
Total magnetization   1.999 μB per cell
VASP energy   -5.83 eV/atom
Theoretical density   4.7 g/cm3
SG   C2, No. 5
Crystal system   monoclinic
Formation enthalpy at 0 K   -2946 meV per atom

No. 3
A relaxed structure of FeOF, computed with PBE with a Hubbard U.

Lattice parameters (Å, degrees): 3.0953 9.4941 14.2942 89.59 90.00 90.00
With the nearest neighbours (Å) after each atom.
Fractional positions:
1 O 0.5000 0.5921 0.0655  3 Fe 1.87-2.02
2 O 0.0000 0.6477 0.8966  3 Fe 1.90-2.05
3 O 0.5000 0.4010 0.9388  3 Fe 1.87-2.01
4 O 0.0000 0.3486 0.4346  3 Fe 1.92-1.97
5 O 0.5000 0.9065 0.9336  3 Fe 1.94-1.95
6 O 0.0000 0.3458 0.7691  3 Fe 1.92-1.95
7 O 0.5000 0.4068 0.6032  3 Fe 1.91-1.95
8 O 0.0000 0.8509 0.1055  3 Fe 1.94-1.95
9 O 0.0000 0.3421 0.1011  3 Fe 1.89-2.05
10 O 0.5000 0.4022 0.2684  3 Fe 1.93-1.98
11 O 0.0000 0.8503 0.4323  3 Fe 1.93-1.96
12 O 0.5000 0.9016 0.6019  3 Fe 1.94-1.97
13 F 0.5000 0.9030 0.2687  2 Fe 2.02
14 F 0.5000 0.0962 0.0667  3 Fe 2.14-2.15
15 F 0.0000 0.1523 0.5652  3 Fe 2.08-2.17
16 F 0.0000 0.6568 0.2374  3 Fe 2.10-2.17
17 F 0.0000 0.1435 0.2359  3 Fe 2.01-2.24
18 F 0.0000 0.6556 0.5631  3 Fe 2.10-2.23
19 F 0.5000 0.0913 0.7301  2 Fe 2.09
20 F 0.5000 0.6047 0.7276  3 Fe 2.11-2.21
21 F 0.0000 0.8480 0.7677  3 Fe 2.01-2.20
22 F 0.5000 0.0995 0.3992  3 Fe 2.06-2.25
23 F 0.0000 0.1507 0.8988  3 Fe 2.13-2.15
24 F 0.5000 0.5998 0.3999  3 Fe 2.12-2.17
25 Fe 0.5000 0.2721 0.1607  3 O 1.89-1.98
26 Fe 0.5000 0.7444 0.1473  3 O 1.87-1.94
27 Fe 0.0000 0.9803 0.9988  3 O 1.94-1.95, 3 F 2.14-2.15
28 Fe 0.5000 0.7681 0.4966  3 O 1.96-1.97, 3 F 2.10-2.12
29 Fe 0.0000 0.4820 0.3281  3 O 1.93-1.97, 1 F 2.10
30 Fe 0.0000 0.9937 0.3364  1 O 1.93, 5 F 2.01-2.06
31 Fe 0.0000 0.4974 0.0005  6 O 2.01-2.05
32 Fe 0.5000 0.7421 0.8520  3 O 1.90-1.95
33 Fe 0.5000 0.2752 0.8385  3 O 1.87-1.95
34 Fe 0.5000 0.2797 0.5001  3 O 1.91-1.92
35 Fe 0.0000 0.4818 0.6693  3 O 1.92-1.95, 2 F 2.11
36 Fe 0.0000 0.9866 0.6611  2 O 1.94, 4 F 2.01-2.09

Values from the calculation:
Total magnetization   59.536 μB per cell
VASP energy   -6.00 eV/atom
Theoretical density   4.3 g/cm3
SG   Pm, No. 6
Crystal system   monoclinic
Formation enthalpy at 0 K   -2021 meV per atom

No. 4
A relaxed structure of Sr4Mn2Cu3Se4O4, computed with PBE with a Hubbard U.

Lattice parameters (Å, degrees): 9.4583 9.4583 5.8108 90.00 90.00 144.22
With the nearest neighbours (Å) after each atom.
Fractional positions:
1 Sr 0.0956 0.4059 0.2502  4 O 2.66-2.68
2 Sr 0.9044 0.5941 0.2502  4 O 2.66-2.68
3 Sr 0.4059 0.0956 0.7498  4 O 2.66-2.68
4 Sr 0.5941 0.9044 0.7498  4 O 2.66-2.68
5 Mn 0.5000 0.0000 0.2508  4 O 2.05-2.06
6 Mn 0.0000 0.5000 0.7492  4 O 2.05-2.06
7 Cu 0.5000 0.5000 0.5000  4 Se 2.52
8 Cu 0.5000 0.5000 0.0000  4 Se 2.51
9 Cu 0.0000 0.0000 0.5000  4 Se 2.51
10 Se 0.1693 0.3301 0.7504  3 Cu 2.51-2.52
11 Se 0.6699 0.8307 0.2496  3 Cu 2.51-2.52
12 Se 0.3301 0.1693 0.2496  3 Cu 2.51-2.52
13 Se 0.8307 0.6699 0.7504  3 Cu 2.51-2.52
14 O 0.2500 0.7500 0.0000  2 Mn 2.06
15 O 0.7510 0.2490 0.5000  2 Mn 2.05
16 O 0.2490 0.7510 0.5000  2 Mn 2.05
17 O 0.7500 0.2500 0.0000  2 Mn 2.06

Values from the calculation:
Total magnetization   9.084 μB per cell
VASP energy   -5.58 eV/atom
Theoretical density   5.6 g/cm3
SG   C222, No. 21
Crystal system   orthorhombic
Formation enthalpy at 0 K   -1748 meV per atom

No. 5
A relaxed structure of MgFe3Co2SbP6O24, computed with PBE with a Hubbard U.

Lattice parameters (Å, degrees): 8.6702 8.7849 8.7833 60.07 58.35 59.12
With the nearest neighbours (Å) after each atom.
Fractional positions:
1 O 0.2224 0.0944 0.7441  1 P 1.53
2 O 0.3849 0.2166 0.3715  1 P 1.60
3 O 0.9215 0.8839 0.7000  1 P 1.52
4 O 0.5539 0.0201 0.8349  1 P 1.49
5 O 0.0783 0.0948 0.3466  1 P 1.49
6 O 0.7240 0.2480 0.6026  1 P 1.58
7 O 0.2253 0.9401 0.1039  1 P 1.54
8 O 0.4455 0.9754 0.1930  1 P 1.61
9 O 0.7788 0.9042 0.2407  1 P 1.63
10 O 0.1043 0.4735 0.1036  1 P 1.49
11 O 0.2794 0.7478 0.4110  1 P 1.56
12 O 0.2394 0.7295 0.9361  1 P 1.54
13 O 0.9294 0.7064 0.4874  1 P 1.53
14 O 0.7710 0.2515 0.0626  1 P 1.65
15 O 0.5651 0.8756 0.5795  1 P 1.49
16 O 0.0265 0.3326 0.5507  1 P 1.53
17 O 0.4699 0.3814 0.9529  1 P 1.65
18 O 0.2694 0.4114 0.5583  1 P 1.55
19 O 0.7742 0.0800 0.9016  1 P 1.66
20 O 0.2857 0.5584 0.7447  1 P 1.55
21 O 0.7151 0.5934 0.4798  1 P 1.58
22 O 0.9424 0.4784 0.8886  1 P 1.53
23 O 0.7141 0.4513 0.2370  1 P 1.54
24 O 0.5848 0.5958 0.9738  1 P 1.51
25 P 0.2239 0.2596 0.5629  4 O 1.53-1.60
26 P 0.2613 0.5427 0.9398  4 O 1.49-1.65
27 P 0.7415 0.0466 0.7521  4 O 1.49-1.66
28 P 0.7450 0.7667 0.4581  4 O 1.49-1.63
29 P 0.2466 0.9467 0.2640  4 O 1.49-1.61
30 P 0.7495 0.4584 0.0423  4 O 1.51-1.65
31 Fe 0.4343 0.8629 0.8550  6 O 2.01-2.16
32 Fe 0.0682 0.6456 0.6444  6 O 1.97-2.12
33 Fe 0.9344 0.3570 0.3479  5 O 1.96-2.19
34 Co 0.0351 0.9687 0.0124  4 O 2.05-2.18
35 Co 0.4963 0.4982 0.4880  5 O 2.08-2.27
36 Sb 0.5669 0.1371 0.1489  6 O 1.95-2.09
37 Mg 0.7495 0.3793 0.7291  5 O 2.02-2.25

Values from the calculation:
Total magnetization   19.008 μB per cell
VASP energy   -6.81 eV/atom
Theoretical density   3.6 g/cm3
Distance to the lowest polymorph of the same formula   0.0630 eV/atom
SG   P1, No. 1
Crystal system   triclinic
Formation enthalpy at 0 K   -2218 meV per atom

No. 6
A relaxed structure of Li4Mn2Cr3Sb3O16, computed with PBE with a Hubbard U.

Lattice parameters (Å, degrees): 6.1129 6.1129 10.0191 89.91 89.91 60.37
With the nearest neighbours (Å) after each atom.
Fractional positions:
1 O 0.0014 0.0014 0.6868  1 Li 1.78
2 O 0.5107 0.9684 0.1739  1 Sb 1.97, 1 Cr 2.04, 1 Li 2.05
3 O 0.1547 0.1547 0.3948  2 Sb 2.05, 1 Li 2.08
4 O 0.8458 0.8458 0.8920  1 Li 1.86, 2 Cr 2.03, 1 Mn 2.03
5 O 0.6947 0.1600 0.3912  1 Li 1.97, 1 Sb 1.99, 1 Cr 2.05
6 O 0.6666 0.6666 0.3943  2 Sb 2.07, 1 Cr 2.07
7 O 0.5121 0.5121 0.1725  2 Sb 2.04, 1 Li 2.08
8 O 0.0007 0.0007 0.1801  1 Li 1.87, 1 Cr 2.05, 2 Sb 2.07
9 O 0.9684 0.5107 0.1739  1 Sb 1.97, 1 Cr 2.04, 1 Li 2.05
10 O 0.1600 0.6947 0.3912  1 Li 1.97, 1 Sb 1.99, 1 Cr 2.05
11 O 0.4840 0.4840 0.6729  1 Li 1.94, 2 Cr 2.02, 1 Mn 2.11
12 O 0.3078 0.8527 0.8967  1 Li 1.94, 1 Sb 2.03, 1 Cr 2.07, 1 Mn 2.13
13 O 0.3318 0.3318 0.8940  1 Sb 2.04, 1 Li 2.06, 2 Cr 2.07
14 O 0.0302 0.4798 0.6695  1 Li 1.99, 1 Sb 2.01, 1 Cr 2.07
15 O 0.4798 0.0302 0.6695  1 Li 1.99, 1 Sb 2.01, 1 Cr 2.07
16 O 0.8527 0.3078 0.8967  1 Li 1.94, 1 Sb 2.03, 1 Cr 2.07, 1 Mn 2.13
17 Sb 0.3374 0.8328 0.2835  6 O 1.97-2.07
18 Sb 0.1693 0.1693 0.7844  6 O 2.01-2.04
19 Sb 0.8328 0.3374 0.2835  6 O 1.97-2.07
20 Cr 0.1688 0.6639 0.7851  6 O 2.02-2.07
21 Cr 0.6639 0.1688 0.7851  6 O 2.02-2.07
22 Cr 0.8325 0.8325 0.2834  6 O 2.04-2.07
23 Li 0.6631 0.6631 0.6310  3 O 1.94-1.99
24 Li 0.3284 0.3284 0.0992  4 O 2.05-2.08
25 Li 0.9907 0.9907 0.5093  3 O 1.78-1.97
26 Li 0.9920 0.9920 0.9942  4 O 1.86-1.94
27 Mn 0.3460 0.3460 0.5204  5 O 2.11-2.26
28 Mn 0.6739 0.6739 0.9833  3 O 2.03-2.13

Values from the calculation:
Total magnetization   19.007 μB per cell
VASP energy   -6.67 eV/atom
Theoretical density   4.7 g/cm3
SG   Cm, No. 8
Crystal system   monoclinic
Formation enthalpy at 0 K   -2168 meV per atom

No. 7
A relaxed structure of CrO, computed with PBE with a Hubbard U.

Lattice parameters (Å, degrees): 3.0047 3.1557 16.4763 90.00 90.00 90.00
With the nearest neighbours (Å) after each atom.
Fractional positions:
1 Cr 0.5000 0.1156 0.6652  4 O 2.04-2.08
2 Cr 0.5000 0.1156 0.3348  4 O 2.04-2.08
3 Cr 0.5000 0.8923 0.1649  4 O 2.05-2.09
4 Cr 0.0000 0.6477 0.5000  4 O 2.07-2.08
5 Cr 0.5000 0.8923 0.8351  4 O 2.05-2.09
6 Cr 0.0000 0.3209 0.0000  4 O 2.07-2.08
7 O 0.0000 0.8206 0.9182  4 Cr 2.05-2.08
8 O 0.0000 0.8206 0.0818  4 Cr 2.05-2.08
9 O 0.0000 0.0400 0.7513  4 Cr 2.08-2.09
10 O 0.0000 0.1504 0.4183  4 Cr 2.04-2.08
11 O 0.0000 0.1504 0.5817  4 Cr 2.04-2.08
12 O 0.0000 0.0400 0.2487  4 Cr 2.08-2.09

Values from the calculation:
Total magnetization   24.012 μB per cell
VASP energy   -7.76 eV/atom
Theoretical density   4.3 g/cm3
SG   Pmm2, No. 25
Crystal system   orthorhombic
Formation enthalpy at 0 K   -1801 meV per atom

No. 8
A relaxed structure of La2FeAs2O, computed with PBE with a Hubbard U.

Lattice parameters (Å, degrees): 3.4925 3.4925 15.0699 90.00 90.00 90.00
With the nearest neighbours (Å) after each atom.
Fractional positions:
1 Fe 0.5000 0.5000 0.0000  2 As 2.37
2 La 0.5000 0.5000 0.6399  1 O 2.11
3 La 0.5000 0.5000 0.3601  1 O 2.11
4 O 0.5000 0.5000 0.5000  2 La 2.11
5 As 0.5000 0.5000 0.8429  1 Fe 2.37
6 As 0.5000 0.5000 0.1571  1 Fe 2.37

Values from the calculation:
Total magnetization   4.503 μB per cell
VASP energy   -5.13 eV/atom
Theoretical density   4.5 g/cm3
SG   P4/mmm, No. 123
Crystal system   tetragonal
Formation enthalpy at 0 K   -182 meV per atom